(a)
A plane-wave DFT calculation with GGA-PBE was carried out for a relaxed structure of RbAl3CdSi3O12.

Structure (POSCAR):
```
RbAl3CdSi3O12
1.0
12.298 0.000 0.000
0.045 12.325 0.000
0.082 0.137 12.389
O Al Si Cd Rb
48 12 12 4 4
Cartesian
1.628 1.624 7.672 O
0.255 3.717 8.542 O
6.086 12.012 2.844 O
1.291 4.193 1.321 O
0.105 3.020 6.034 O
7.894 1.632 10.930 O
6.334 12.141 9.702 O
6.204 3.106 12.363 O
1.605 10.986 3.951 O
11.080 8.486 10.955 O
8.449 10.863 1.488 O
3.583 3.486 0.194 O
1.348 8.043 1.505 O
9.735 6.110 12.114 O
1.582 4.373 11.040 O
8.581 11.351 10.978 O
1.254 1.280 4.380 O
12.270 3.384 3.422 O
2.959 5.953 0.171 O
10.720 8.082 1.422 O
3.748 8.693 0.401 O
12.098 8.743 3.706 O
1.685 8.154 11.018 O
12.315 10.311 6.226 O
12.148 5.918 2.784 O
8.573 8.750 12.008 O
1.597 11.368 8.380 O
10.994 4.029 10.981 O
12.201 6.223 9.547 O
10.891 4.112 1.260 O
0.518 8.898 8.721 O
3.864 11.071 10.892 O
10.963 11.073 8.623 O
4.422 1.514 11.110 O
6.213 10.463 12.321 O
2.799 12.153 6.090 O
9.646 12.065 6.193 O
10.879 1.425 4.539 O
11.233 1.460 7.876 O
3.875 0.315 8.441 O
4.550 1.399 1.421 O
7.838 1.337 1.228 O
3.636 0.323 3.680 O
8.599 0.396 8.667 O
10.914 11.189 3.940 O
8.579 0.192 3.825 O
8.716 3.725 12.369 O
3.856 11.178 1.496 O
10.023 7.806 12.277 Al
4.602 0.148 10.049 Al
0.219 7.815 10.073 Al
0.110 4.560 10.090 Al
7.747 12.314 2.315 Al
10.107 0.155 7.826 Al
7.891 10.328 12.345 Al
0.159 10.391 7.900 Al
12.163 7.603 2.382 Al
2.410 7.599 0.136 Al
4.449 10.250 0.026 Al
12.325 10.241 4.548 Al
2.277 4.466 0.031 Si
7.800 0.250 10.065 Si
10.147 4.531 12.243 Si
4.620 2.260 0.027 Si
4.557 0.071 2.344 Si
12.214 4.424 2.165 Si
7.726 2.435 12.349 Si
2.457 0.232 7.670 Si
2.331 12.368 4.540 Si
0.188 2.423 7.602 Si
12.268 2.271 4.583 Si
9.963 0.075 4.649 Si
10.073 9.858 2.428 Cd
10.572 10.563 10.660 Cd
2.386 9.747 2.272 Cd
2.360 9.916 9.940 Cd
8.845 8.338 9.034 Rb
0.416 5.887 6.858 Rb
5.890 6.016 0.305 Rb
6.578 0.459 6.284 Rb
```

Computed properties:
The value obtained for the total magnetization is 0.00 μB per atom. Its space group is P1 (1). For the density, the calculation gives 1.963 g cm⁻³.

=====

(b)
A plane-wave DFT calculation with GGA-PBE was carried out for a relaxed structure of RbAl3CdSi3O12.

Structure (POSCAR):
```
RbAl3CdSi3O12
1.0
-3.119 -11.540 3.214
9.916 -0.782 7.392
-6.592 4.408 9.353
Rb Cd O Al Si
4 4 48 12 12
Cartesian
3.484 -5.858 5.712 Rb
-4.173 -3.398 6.235 Rb
1.750 1.788 8.959 Rb
0.988 -2.688 14.079 Rb
0.328 -6.457 16.363 Cd
-1.951 -8.496 5.658 Cd
-5.878 -5.766 11.669 Cd
4.265 -8.977 10.230 Cd
-5.410 -6.869 13.580 O
-3.761 -9.282 6.648 O
0.761 -4.404 16.985 O
-5.501 -0.329 7.511 O
4.829 -1.419 6.311 O
-5.988 -7.290 10.182 O
6.240 -0.359 10.325 O
-4.664 1.017 12.185 O
6.976 -4.401 8.836 O
-3.170 -8.305 14.093 O
2.239 2.140 11.952 O
-5.653 -4.164 13.521 O
2.596 -0.976 3.759 O
4.611 0.637 8.018 O
-2.486 2.186 11.301 O
-3.574 1.481 7.025 O
-6.592 -3.780 11.049 O
3.007 -10.630 9.071 O
-2.853 -4.557 3.996 O
-1.566 0.041 4.578 O
-3.818 -6.928 5.345 O
-0.384 -9.929 6.357 O
-1.758 -6.885 16.210 O
3.977 -3.147 4.470 O
7.115 -2.816 10.973 O
-1.546 2.594 8.836 O
2.704 -5.946 16.006 O
-5.876 -7.445 7.360 O
0.338 -10.782 8.843 O
4.137 0.542 12.865 O
-0.678 -3.519 2.864 O
-4.048 -9.390 9.357 O
-5.928 -0.153 10.137 O
5.842 -3.881 6.147 O
5.981 -7.539 9.879 O
-3.999 -0.636 5.407 O
4.514 -8.678 8.026 O
-1.485 -7.176 4.020 O
1.248 -9.734 13.700 O
1.432 -8.352 16.023 O
0.946 0.771 4.925 O
3.128 -3.034 15.999 O
-0.179 2.351 13.601 O
-0.572 -2.014 16.355 O
2.474 -9.693 6.341 O
-5.742 -1.349 12.519 O
3.822 -9.489 12.231 O
1.901 -0.690 15.813 O
-2.241 2.582 7.236 Al
-6.801 -6.870 8.644 Al
-5.450 -5.441 14.683 Al
6.862 -4.875 7.169 Al
5.548 0.996 9.474 Al
3.659 -10.103 7.479 Al
0.828 3.059 12.390 Al
-4.971 -8.027 6.070 Al
-3.037 -6.292 3.911 Al
6.010 -7.752 8.120 Al
-6.491 -2.926 12.608 Al
2.542 -4.437 16.875 Al
3.836 1.911 12.015 Si
4.780 0.204 6.472 Si
-2.323 -3.448 2.913 Si
5.346 -2.612 5.299 Si
-0.597 1.326 4.808 Si
6.894 -1.284 11.452 Si
-3.440 1.982 12.593 Si
-5.927 0.077 11.761 Si
5.233 -0.254 13.778 Si
3.333 -1.404 16.104 Si
-0.673 -11.022 7.587 Si
-1.575 3.161 10.341 Si
```

Computed properties:
The value obtained for the total magnetization is 0.00 μB per atom. Its space group is P1 (1). For the density, the calculation gives 1.960 g cm⁻³.

=====

So which one is most stable? That would be (b), about 13 meV/atom below the next structure.